A relaxed structure of Cu3P15I2. Source: the Materials Project database, functional PBE.

Output
E_form   -12.01 kJ/mol of atoms
Total DFT energy (no corrections)   -4.91 eV/atom
M_tot   0.0 μB per cell

Cell lengths 9.710, 19.566, 11.447 Å; angles 90.00, 124.68, 90.00 degrees
Fractional positions:
Cu1 0.001 0.057 0.325
Cu2 0.001 0.443 0.825
Cu3 0.369 0.711 0.427
Cu4 0.369 0.789 0.927
Cu5 0.407 0.559 0.178
Cu6 0.407 0.941 0.678
Cu7 0.593 0.059 0.322
Cu8 0.593 0.441 0.822
Cu9 0.631 0.211 0.073
Cu10 0.631 0.289 0.573
Cu11 0.999 0.557 0.175
Cu12 0.999 0.943 0.675
P1 0.001 0.150 0.615
P2 0.001 0.350 0.115
P3 0.019 0.086 0.916
P4 0.019 0.414 0.416
P5 0.136 0.077 0.566
P6 0.136 0.423 0.066
P7 0.143 0.517 0.771
P8 0.143 0.983 0.271
P9 0.164 0.144 0.856
P10 0.164 0.356 0.356
P11 0.169 0.665 0.629
P12 0.169 0.835 0.129
P13 0.226 0.593 0.942
P14 0.226 0.907 0.442
P15 0.238 0.504 0.227
P16 0.238 0.996 0.727
P17 0.284 0.579 0.583
P18 0.284 0.921 0.083
P19 0.331 0.673 0.873
P20 0.331 0.827 0.373
P21 0.335 0.155 0.638
P22 0.335 0.345 0.138
P23 0.355 0.062 0.915
P24 0.355 0.438 0.415
P25 0.391 0.518 0.780
P26 0.391 0.982 0.280
P27 0.462 0.100 0.556
P28 0.462 0.400 0.056
P29 0.500 0.138 0.880
P30 0.500 0.362 0.380
P31 0.500 0.638 0.620
P32 0.500 0.862 0.120
P33 0.538 0.600 0.944
P34 0.538 0.900 0.444
P35 0.609 0.018 0.720
P36 0.609 0.482 0.220
P37 0.645 0.562 0.585
P38 0.645 0.938 0.085
P39 0.665 0.655 0.862
P40 0.665 0.845 0.362
P41 0.669 0.173 0.627
P42 0.669 0.327 0.127
P43 0.716 0.079 0.917
P44 0.716 0.421 0.417
P45 0.762 0.004 0.273
P46 0.762 0.496 0.773
P47 0.774 0.093 0.558
P48 0.774 0.407 0.058
P49 0.831 0.165 0.871
P50 0.831 0.335 0.371
P51 0.836 0.644 0.644
P52 0.836 0.856 0.144
P53 0.857 0.017 0.729
P54 0.857 0.483 0.229
P55 0.864 0.577 0.934
P56 0.864 0.923 0.434
P57 0.981 0.586 0.584
P58 0.981 0.914 0.084
P59 0.999 0.650 0.885
P60 0.999 0.850 0.385
I1 0.040 0.682 0.265
I2 0.040 0.818 0.765
I3 0.499 0.682 0.279
I4 0.499 0.818 0.779
I5 0.501 0.182 0.221
I6 0.501 0.318 0.721
I7 0.960 0.182 0.235
I8 0.960 0.318 0.735